Compound: Ca2InN
Source: the Materials Project database
Functional: PBE-GGA
Structure: relaxed

For the MP2020-corrected energy, the calculation gives -72.76 eV per cell. For the total energy, the calculation gives -71.3 eV per cell. The formation energy from the elements is -772.4 meV per atom.

The space group is Cmcm (No. 63) and the conventional cell measures 3.514, 20.374 and 5.003 Å, with angles of 90.00, 90.00 and 90.00 degrees. The distinct sites, in fractional coordinates, are Ca at (0.000, 0.121, 0.250), Ca at (0.000, 0.281, 0.250), In at (0.000, 0.461, 0.250) and N at (0.000, 0.301, 0.750).